Li5SbS | PBE | optimized geometry

Summary:
Spin magnetization   0.0 μB per formula unit
Energy of formation from the pure elements   -957 meV per atom
E_tot   -3.429 eV per atom
ΔE to the lowest computed polymorph   0.00 eV/f.u.

a = 4.3015 Å, b = 4.3015 Å, c = 6.4180 Å
α = 90.00°, β = 90.00°, γ = 90.00°
Space group P4/mmm (No. 123)
Symmetry-distinct sites (fractional):
1 Li 0.0000 0.0000 0.0000
2 Li 0.0000 0.5000 0.2865
3 Sb 0.5000 0.5000 0.0000
4 S 0.0000 0.0000 0.5000